Entry 1:
First-principles (PBE) data for an optimized crystal structure of Rb2PH6S3O3, as listed in the Materials Project database.

ΔH_f (0 K)	-1230	meV per atom
DFT total energy	-279.4	eV per cell
calculated volume	1018.1	Å³/cell

abc: 9.2474 13.0540 9.3442
angles: 90.00 115.50 90.00
Space group P2_1/c (No. 14)
Symmetry-distinct sites (fractional):
Rb: 0.1110 0.1902 0.1826
Rb: 0.3464 0.6277 0.9010
P: 0.1123 0.0000 0.6184
H: 0.2071 0.5491 0.4751
H: 0.3537 0.6265 0.5523
H: 0.3924 0.0304 0.1590
H: 0.4003 0.1585 0.8319
H: 0.4429 0.1566 0.0156
H: 0.4523 0.5999 0.2539
S: 0.0443 0.0558 0.7834
S: 0.1849 0.6485 0.1578
S: 0.2705 0.0941 0.5828
O: 0.2777 0.5834 0.5761
O: 0.4289 0.1018 0.1940
O: 0.4708 0.1903 0.9358

=====

Entry 2:
First-principles (PBE) data for an optimized crystal structure of RbSO2, as listed in the Materials Project database.

ΔH_f (0 K)	-1746	meV per atom
DFT total energy	-82.5	eV per cell
calculated volume	394.1	Å³/cell

abc: 8.1711 6.4603 7.4651
angles: 90.00 90.00 90.00
Space group Pnma (No. 62)
Symmetry-distinct sites (fractional):
Rb: 0.1428 0.2500 0.1422
S: 0.1052 0.2500 0.6511
O: 0.1107 0.0543 0.7661

=====

Entry 3:
First-principles (PBE) data for an optimized crystal structure of ScSiPt2, as listed in the Materials Project database.

ΔH_f (0 K)	-1139	meV per atom
DFT total energy	-113.8	eV per cell
calculated volume	259.1	Å³/cell

abc: 3.7200 9.9124 7.0274
angles: 90.00 90.00 90.00
Space group Cmcm (No. 63)
Symmetry-distinct sites (fractional):
Sc: 0.0000 0.0485 0.2500
Si: 0.0000 0.2328 0.7500
Pt: 0.0000 0.3617 0.0480

=====

Entry 4:
First-principles (PBE) data for an optimized crystal structure of NaYCO3F2, as listed in the Materials Project database.

ΔH_f (0 K)	-3097	meV per atom
DFT total energy	-229.9	eV per cell
calculated volume	419.8	Å³/cell

abc: 6.3719 7.0834 9.3013
angles: 90.00 90.00 90.00
Space group Pnma (No. 62)
Symmetry-distinct sites (fractional):
Na: 0.1713 0.2500 0.2178
Y: 0.0125 0.2500 0.5778
C: 0.0401 0.7500 0.0597
O: 0.1306 0.7500 0.1864
O: 0.1589 0.2500 0.9561
O: 0.1642 0.7500 0.9492
F: 0.0421 0.5596 0.6300